# 1
Material: SrNb2NiClO7
Method: DFT, GGA+U
State: relaxed Values from VASP.

Properties
The value obtained for the formation energy is -2500 meV/atom. As for the total energy: -0.532 Ry/atom.

Geometry as Quantum ESPRESSO input:
```
&SYSTEM
  ibrav = 0, nat = 12, ntyp = 5
/
ATOMIC_SPECIES
Sr 87.62 Sr.upf
Nb 92.91 Nb.upf
Ni 58.69 Ni.upf
Cl 35.45 Cl.upf
O 16.00 O.upf
CELL_PARAMETERS angstrom
3.942 0.000 0.000
0.000 3.942 0.000
0.000 0.000 11.989
ATOMIC_POSITIONS angstrom
Sr 0.000 0.000 0.000
Nb 1.971 1.971 2.288
Nb 1.971 1.971 9.701
Ni 1.971 1.971 5.995
Cl 0.000 0.000 5.995
O 0.000 1.971 1.884
O 0.000 1.971 10.105
O 1.971 0.000 1.884
O 1.971 0.000 10.105
O 1.971 1.971 0.000
O 1.971 1.971 4.108
O 1.971 1.971 7.881
```


# 2
Material: Ho6WO12
Method: DFT, GGA+U
State: relaxed Values from VASP.

Properties
The value obtained for the formation energy is -3661 meV/atom. As for the total energy: -0.606 Ry/atom.

Geometry as Quantum ESPRESSO input:
```
&SYSTEM
  ibrav = 0, nat = 19, ntyp = 3
/
ATOMIC_SPECIES
Ho 164.93 Ho.upf
W 183.84 W.upf
O 16.00 O.upf
CELL_PARAMETERS angstrom
5.050 2.916 3.207
-5.050 2.916 3.207
0.000 -5.831 3.207
ATOMIC_POSITIONS angstrom
Ho -2.701 -2.538 5.001
Ho -3.548 1.070 4.621
Ho 0.848 -3.608 4.621
Ho -0.848 3.608 5.001
Ho 3.548 -1.070 5.001
Ho 2.701 2.538 4.621
W 0.000 0.000 4.811
O -1.299 -4.144 4.157
O -4.239 -0.947 5.465
O -1.618 -0.348 3.750
O -2.939 3.197 4.157
O 1.110 -1.227 3.750
O -0.508 -1.575 5.872
O 0.508 1.575 3.750
O -1.110 1.227 5.872
O 2.939 -3.197 5.465
O 1.618 0.348 5.872
O 4.239 0.947 4.157
O 1.299 4.144 5.465
```


# 3
Material: Li3Fe3P4O16
Method: DFT, GGA+U
State: relaxed Values from VASP.

Properties
The value obtained for the formation energy is -2430 meV/atom. The polymorph energy (0 for the lowest one) comes out at 0.028 eV/atom. As for the total energy: -0.501 Ry/atom.

Geometry as Quantum ESPRESSO input:
```
&SYSTEM
  ibrav = 0, nat = 52, ntyp = 4
/
ATOMIC_SPECIES
Li 6.94 Li.upf
Fe 55.84 Fe.upf
P 30.97 P.upf
O 16.00 O.upf
CELL_PARAMETERS angstrom
9.586 -3.202 0.000
9.586 3.202 0.000
-0.204 0.000 10.614
ATOMIC_POSITIONS angstrom
Li 9.433 2.635 7.961
Li 8.224 0.895 0.355
Li 10.846 0.895 4.952
Li 8.122 -0.895 5.662
Li 10.745 -0.895 10.259
Li 9.535 -2.635 2.654
Fe 4.691 1.601 5.307
Fe 2.782 0.146 7.950
Fe 2.883 -0.146 2.643
Fe 4.793 -1.601 0.000
Fe 16.085 0.146 7.971
Fe 16.187 -0.146 2.664
P 7.934 2.154 5.390
P 10.933 2.154 10.531
P 5.605 0.131 8.026
P 5.706 -0.131 2.719
P 13.262 0.131 7.895
P 13.364 -0.131 2.588
P 8.036 -2.154 0.083
P 11.034 -2.154 5.224
O 1.329 0.306 6.600
O 1.475 0.068 9.421
O 1.577 -0.068 4.114
O 1.431 -0.306 1.293
O 6.462 1.353 8.339
O 6.648 1.289 5.371
O 6.602 1.056 2.361
O 4.545 0.339 6.855
O 4.650 0.129 3.868
O 4.548 -0.129 9.175
O 9.117 1.271 5.735
O 4.647 -0.339 1.548
O 9.749 1.271 10.186
O 12.405 1.353 7.583
O 12.219 1.289 10.550
O 12.468 1.056 2.946
O 6.500 -1.056 7.668
O 6.749 -1.289 0.064
O 6.564 -1.353 3.031
O 9.219 -1.271 0.428
O 14.322 0.339 9.067
O 9.851 -1.271 4.879
O 14.421 0.129 1.439
O 14.319 -0.129 6.747
O 14.423 -0.339 3.759
O 12.367 -1.056 8.253
O 12.321 -1.289 5.243
O 12.507 -1.353 2.276
O 17.538 0.306 9.322
O 17.392 0.068 6.500
O 17.493 -0.068 1.193
O 17.639 -0.306 4.015
```